No. 1
Entry from Materials Project: a relaxed SnC4N3O7 crystal (GGA-PBE).

Properties
E (MP2020)   -7.263 eV per atom
DFT total energy   -431.301 eV per cell
Size of the total moment   4.0 Bohr magnetons per cell
Formation energy from the elements   -559 meV/atom
Space-group type   P-1, No. 2

a = 8.2981 Å, b = 12.1458 Å, c = 12.2341 Å
α = 83.11°, β = 88.89°, γ = 86.72°
Positions (direct):
N  0.3455  0.3450  0.4892
O  0.3363  0.1064  0.7462
O  0.0396  0.7263  0.3938
O  0.4977  0.1521  0.7371
O  0.9604  0.2737  0.6062
O  0.4792  0.0645  0.3620
Sn  0.6935  0.0564  0.6889
C  0.3322  0.4242  0.5695
C  0.0101  0.7264  0.7080
O  0.6637  0.8936  0.2538
N  0.9427  0.8030  0.1122
O  0.5208  0.9355  0.6380
C  0.6678  0.5758  0.4305
N  0.0957  0.6170  0.9391
O  0.5687  0.9502  0.8752
O  0.4364  0.7272  0.0345
C  0.4696  0.3472  0.9402
N  0.0107  0.2903  0.8982
C  0.4204  0.0074  0.0340
O  0.2922  0.9781  0.9965
O  0.4313  0.0498  0.1248
C  0.5304  0.6528  0.0598
O  0.9084  0.3331  0.3415
N  0.6545  0.6550  0.5108
O  0.6251  0.5782  0.0827
N  0.6474  0.5441  0.3417
O  0.9264  0.7872  0.7552
C  0.6444  0.5993  0.7935
C  0.5796  0.9926  0.9660
O  0.2659  0.4780  0.1826
C  0.9899  0.2736  0.2920
O  0.7078  0.0219  0.0035
O  0.0916  0.6669  0.6585
O  0.0842  0.1267  0.5206
O  0.3749  0.4218  0.9173
C  0.3556  0.4007  0.2065
Sn  0.3149  0.9412  0.8117
O  0.3500  0.9024  0.5063
C  0.0434  0.6663  0.0097
N  0.9893  0.7097  0.1018
C  0.9566  0.3337  0.9903
O  0.4433  0.3223  0.2305
O  0.5636  0.2728  0.9655
O  0.5567  0.6777  0.7695
N  0.0573  0.1970  0.8878
N  0.3526  0.4559  0.6583
O  0.7341  0.5220  0.8174
O  0.0736  0.2128  0.2448
O  0.9158  0.8733  0.4794
N  0.2752  0.4372  0.4558
O  0.6500  0.0976  0.4937
N  0.7248  0.5628  0.5442
Sn  0.3065  0.9436  0.3111
C  0.4621  0.9536  0.5403
Sn  0.6851  0.0588  0.1883
C  0.5379  0.0464  0.4597
O  0.5023  0.8479  0.2629
C  0.9770  0.8000  0.4359
N  0.9043  0.3830  0.0609
C  0.0230  0.2000  0.5641


No. 2
Entry from Materials Project: a relaxed RbMg6Al crystal (GGA-PBE).

Properties
DFT total energy   -24.517 eV per cell
Size of the total moment   0.0 Bohr magnetons per cell
Formation energy from the elements   259 meV/atom
Polymorph energy (0 for the lowest one)   0 meV/atom

a = 5.1354 Å, b = 7.0671 Å, c = 12.0974 Å
α = 90.00°, β = 90.00°, γ = 90.00°
Positions (direct):
Mg  0.0000  0.7852  0.0703
Mg  0.0000  0.0000  0.3336
Mg  0.0000  0.2852  0.5703
Mg  0.5000  0.2328  0.9167
Rb  0.5000  0.0000  0.6661
Mg  0.5000  0.0000  0.1638
Rb  0.5000  0.5000  0.1661
Mg  0.5000  0.7328  0.4167
Mg  0.0000  0.5000  0.8336
Mg  0.5000  0.5000  0.6638
Mg  0.5000  0.7672  0.9167
Mg  0.5000  0.2672  0.4167
Mg  0.0000  0.7148  0.5703
Al  0.0000  0.5000  0.3627
Al  0.0000  0.0000  0.8627
Mg  0.0000  0.2148  0.0703


No. 3
Entry from Materials Project: a relaxed PtI2 crystal (GGA-PBE).

Properties
E (MP2020)   -3.456 eV per atom
DFT total energy   -38.434 eV per cell
Formation energy from the elements   -416 meV/atom
Space-group type   P2_1/c, No. 14

a = 7.0602 Å, b = 7.1040 Å, c = 9.1339 Å
α = 90.00°, β = 90.00°, γ = 102.53°
Positions (direct):
Pt  0.7826  0.5050  0.3688
I  0.5729  0.2642  0.1802
I  0.0151  0.7744  0.0721
Pt  0.2174  0.4950  0.6312
I  0.4271  0.2358  0.6802
I  0.4271  0.7358  0.8198
I  0.0151  0.2744  0.4279
Pt  0.2174  0.9950  0.8688
I  0.9849  0.2256  0.9279
Pt  0.7826  0.0050  0.1312
I  0.5729  0.7642  0.3198
I  0.9849  0.7256  0.5721


No. 4
Entry from Materials Project: a relaxed Li2Mg crystal (GGA-PBE).

Properties
DFT total energy   -10.843 eV per cell
Formation energy from the elements   -1 meV/atom
Space-group type   P-3m1, No. 164

a = 3.1643 Å, b = 3.1643 Å, c = 14.7098 Å
α = 90.00°, β = 90.00°, γ = 120.00°
Positions (direct):
Li  0.6667  0.3333  0.7538
Li  0.3333  0.6667  0.9164
Mg  0.3333  0.6667  0.5875
Mg  0.6667  0.3333  0.4125
Li  0.3333  0.6667  0.2462
Li  0.6667  0.3333  0.0836


No. 5
Entry from Materials Project: a relaxed Sc5P12Ir19 crystal (GGA-PBE).

Properties
DFT total energy   -291.275 eV per cell
Formation energy from the elements   -742 meV/atom
Space-group type   P-62m, No. 189

a = 12.6655 Å, b = 12.6655 Å, c = 3.9053 Å
α = 90.00°, β = 90.00°, γ = 120.00°
Positions (direct):
Sc  0.1833  0.1833  0.5000
Ir  0.8098  0.6283  0.0000
Sc  0.0000  0.8167  0.5000
Ir  0.0000  0.4640  0.0000
P  0.1716  0.4837  0.5000
P  0.3121  0.8284  0.5000
Ir  0.5360  0.5360  0.0000
Ir  0.4640  0.0000  0.0000
Ir  0.3596  0.4959  0.5000
Ir  0.1364  0.6404  0.5000
Ir  0.2840  0.0000  0.5000
P  0.8240  0.8240  0.0000
P  0.3550  0.3550  0.0000
P  0.8284  0.3121  0.5000
Sc  0.8167  0.0000  0.5000
Sc  0.6667  0.3333  0.0000
Ir  0.6283  0.8098  0.0000
P  0.6450  0.0000  0.0000
Ir  0.8636  0.5041  0.5000
Ir  0.1815  0.3717  0.0000
Ir  0.1902  0.8185  0.0000
Ir  0.8185  0.1902  0.0000
Ir  0.5041  0.8636  0.5000
P  0.6879  0.5163  0.5000
Ir  0.7160  0.7160  0.5000
P  0.0000  0.6450  0.0000
Ir  0.6404  0.1364  0.5000
P  0.1760  0.0000  0.0000
P  0.0000  0.1760  0.0000
Sc  0.3333  0.6667  0.0000
Ir  0.3717  0.1815  0.0000
Ir  0.0000  0.0000  0.0000
P  0.5163  0.6879  0.5000
Ir  0.4959  0.3596  0.5000
P  0.4837  0.1716  0.5000
Ir  0.0000  0.2840  0.5000


No. 6
Entry from Materials Project: a relaxed BaCa3Cu2N4 crystal (GGA-PBE).

Properties
E (MP2020)   -5.395 eV per atom
DFT total energy   -210.021 eV per cell
Size of the total moment   8.0 Bohr magnetons per cell
Formation energy from the elements   -447 meV/atom
Space-group type   Pna2_1, No. 33

a = 8.2083 Å, b = 8.3833 Å, c = 12.4962 Å
α = 90.00°, β = 90.00°, γ = 90.00°
Positions (direct):
N  0.3480  0.9139  0.8554
N  0.8480  0.4139  0.6446
Ca  0.8773  0.4143  0.8360
Cu  0.0868  0.5982  0.0128
Cu  0.3928  0.9081  0.9972
N  0.0732  0.9085  0.6401
Ca  0.0729  0.8574  0.8294
N  0.6200  0.0629  0.6263
N  0.4653  0.6364  0.6499
N  0.5347  0.1364  0.3501
Ca  0.8985  0.1301  0.6645
N  0.0347  0.6364  0.1499
Cu  0.9132  0.0982  0.9872
N  0.9653  0.1364  0.8501
Ca  0.4271  0.8574  0.3294
Cu  0.1072  0.9081  0.4972
N  0.3800  0.5629  0.3737
N  0.1200  0.5629  0.8737
Ba  0.7777  0.7370  0.6016
Ca  0.1015  0.6301  0.3355
Ca  0.6015  0.1301  0.1645
Ba  0.7223  0.7370  0.1016
N  0.9268  0.4085  0.3599
Cu  0.8928  0.4081  0.5028
N  0.4268  0.9085  0.1401
Ba  0.2777  0.2370  0.8984
Ca  0.1227  0.9143  0.1640
N  0.5732  0.4085  0.8599
Ca  0.3773  0.9143  0.6640
Ca  0.3985  0.6301  0.8355
Ca  0.6227  0.4143  0.3360
Ca  0.5729  0.3574  0.6706
N  0.1520  0.9139  0.3554
Cu  0.4132  0.5982  0.5128
Ca  0.9271  0.3574  0.1706
Ba  0.2223  0.2370  0.3984
N  0.8800  0.0629  0.1263
Cu  0.5868  0.0982  0.4872
Cu  0.6072  0.4081  0.0028
N  0.6520  0.4139  0.1446


No. 7
Entry from Materials Project: a relaxed Eu5Cd2Sb5O crystal (GGA-PBE).

Properties
E (MP2020)   -7.222 eV per atom
DFT total energy   -186.410 eV per cell
Size of the total moment   68.0 Bohr magnetons per cell
Formation energy from the elements   -1167 meV/atom
Space-group type   Cmcm, No. 63

a = 11.2443 Å, b = 11.2443 Å, c = 14.8507 Å
α = 90.00°, β = 90.00°, γ = 155.90°
Positions (direct):
Eu  0.0000  0.0000  0.0000
Eu  0.1068  0.8932  0.7500
Cd  0.6317  0.3683  0.4144
O  0.3416  0.6584  0.2500
Sb  0.1501  0.8499  0.9771
Eu  0.0959  0.9041  0.2500
Sb  0.8499  0.1501  0.4771
O  0.6584  0.3416  0.7500
Eu  0.2767  0.7233  0.1282
Eu  0.2767  0.7233  0.3718
Eu  0.9041  0.0959  0.7500
Sb  0.5033  0.4967  0.1513
Cd  0.6317  0.3683  0.0856
Cd  0.3683  0.6317  0.9144
Sb  0.4967  0.5033  0.6513
Sb  0.8499  0.1501  0.0229
Sb  0.7069  0.2931  0.2500
Eu  0.7233  0.2767  0.6282
Cd  0.3683  0.6317  0.5856
Eu  0.0000  0.0000  0.5000
Eu  0.8932  0.1068  0.2500
Sb  0.2931  0.7069  0.7500
Sb  0.4967  0.5033  0.8487
Sb  0.1501  0.8499  0.5229
Sb  0.5033  0.4967  0.3487
Eu  0.7233  0.2767  0.8718


No. 8
Entry from Materials Project: a relaxed KYSn crystal (GGA-PBE).

Properties
DFT total energy   -11.310 eV per cell
Size of the total moment   0.0 Bohr magnetons per cell
Formation energy from the elements   92 meV/atom
Space-group type   F-43m, No. 216

a = 5.3265 Å, b = 5.3265 Å, c = 5.3265 Å
α = 60.00°, β = 60.00°, γ = 60.00°
Positions (direct):
K  0.0000  0.0000  0.0000
Sn  0.5000  0.5000  0.5000
Y  0.2500  0.2500  0.2500


No. 9
Entry from Materials Project: a relaxed PuB4 crystal (GGA-PBE).

Properties
DFT total energy   -174.047 eV per cell
Formation energy from the elements   -505 meV/atom
Space-group type   P4/mbm, No. 127

a = 7.1057 Å, b = 7.1057 Å, c = 4.0168 Å
α = 90.00°, β = 90.00°, γ = 90.00°
Positions (direct):
B  0.8228  0.0390  0.5000
B  0.0872  0.4128  0.5000
B  0.5390  0.3228  0.5000
B  0.4128  0.9128  0.5000
B  0.5000  0.5000  0.7984
B  0.0000  0.0000  0.2016
Pu  0.8134  0.3134  0.0000
B  0.5872  0.0872  0.5000
B  0.0000  0.0000  0.7984
B  0.6772  0.5390  0.5000
B  0.1772  0.9610  0.5000
Pu  0.1866  0.6866  0.0000
B  0.4610  0.6772  0.5000
B  0.5000  0.5000  0.2016
Pu  0.6866  0.8134  0.0000
B  0.9128  0.5872  0.5000
Pu  0.3134  0.1866  0.0000
B  0.9610  0.8228  0.5000
B  0.3228  0.4610  0.5000
B  0.0390  0.1772  0.5000


No. 10
Entry from Materials Project: a relaxed Pr2Co2I crystal (GGA-PBE).

Properties
E (MP2020)   -5.698 eV per atom
DFT total energy   -56.226 eV per cell
Formation energy from the elements   -638 meV/atom
Space-group type   P6_3/mmc, No. 194

a = 4.0272 Å, b = 4.0272 Å, c = 17.8357 Å
α = 90.00°, β = 90.00°, γ = 120.00°
Positions (direct):
I  0.3333  0.6667  0.7500
I  0.6667  0.3333  0.2500
Pr  0.0000  0.0000  0.6052
Co  0.3333  0.6667  0.4990
Pr  0.0000  0.0000  0.1052
Co  0.3333  0.6667  0.0010
Co  0.6667  0.3333  0.9990
Pr  0.0000  0.0000  0.3948
Co  0.6667  0.3333  0.5010
Pr  0.0000  0.0000  0.8948


No. 11
Entry from Materials Project: a relaxed Li4Ga3Si3ClO12 crystal (GGA-PBE).

Properties
E (MP2020)   -6.805 eV per atom
DFT total energy   -296.548 eV per cell
Size of the total moment   0.0 Bohr magnetons per cell
Formation energy from the elements   -2709 meV/atom
Piezoelectric modulus e_max   0.145 C/m²
Space-group type   P-43n, No. 218

a = 8.6154 Å, b = 8.6154 Å, c = 8.6154 Å
α = 90.00°, β = 90.00°, γ = 90.00°
Positions (direct):
Ga  0.0000  0.2500  0.5000
Li  0.3282  0.3282  0.6718
O  0.1266  0.4016  0.1459
Cl  0.0000  0.0000  0.0000
O  0.1266  0.5984  0.8541
O  0.4016  0.8541  0.8734
Li  0.8282  0.1718  0.8282
Li  0.1718  0.1718  0.1718
Cl  0.5000  0.5000  0.5000
O  0.9016  0.3734  0.3541
Li  0.8282  0.8282  0.1718
O  0.1459  0.1266  0.4016
Li  0.6718  0.6718  0.6718
O  0.0984  0.3734  0.6459
O  0.6266  0.6459  0.9016
Li  0.1718  0.8282  0.8282
O  0.9016  0.6266  0.6459
O  0.6266  0.3541  0.0984
Si  0.7500  0.0000  0.5000
Ga  0.7500  0.5000  0.0000
O  0.8541  0.8734  0.4016
O  0.1459  0.8734  0.5984
O  0.3541  0.9016  0.3734
Si  0.0000  0.5000  0.2500
Li  0.6718  0.3282  0.3282
O  0.3734  0.6459  0.0984
Si  0.5000  0.2500  0.0000
Si  0.2500  0.0000  0.5000
O  0.8734  0.4016  0.8541
Si  0.5000  0.7500  0.0000
O  0.8734  0.5984  0.1459
Ga  0.5000  0.0000  0.2500
Ga  0.0000  0.7500  0.5000
Ga  0.5000  0.0000  0.7500
O  0.3541  0.0984  0.6266
Si  0.0000  0.5000  0.7500
Li  0.3282  0.6718  0.3282
Ga  0.2500  0.5000  0.0000
O  0.6459  0.9016  0.6266
O  0.4016  0.1459  0.1266
O  0.0984  0.6266  0.3541
O  0.8541  0.1266  0.5984
O  0.3734  0.3541  0.9016
O  0.6459  0.0984  0.3734
O  0.5984  0.1459  0.8734
O  0.5984  0.8541  0.1266


No. 12
Entry from Materials Project: a relaxed Ni crystal (GGA-PBE).

Properties
DFT total energy   -10.081 eV per cell
Size of the total moment   1.6 Bohr magnetons per cell
Formation energy from the elements   740 meV/atom
Space-group type   P6/mmm, No. 191
Polymorph energy (0 for the lowest one)   740 meV/atom

a = 2.3821 Å, b = 2.3821 Å, c = 14.9123 Å
α = 90.00°, β = 90.00°, γ = 120.00°
Positions (direct):
Ni  0.0000  0.0000  0.5760
Ni  0.0000  0.0000  0.4240